126
Lattice="9.188 0.000 0.022 -4.594 7.949 0.001 0.057 0.035 22.463" Properties=species:S:1:pos:R:3 comment="Na4YGaSiP2O12 PBE-GGA optimized geometry" e_form_ev_per_atom=-2.7981 sg="P1, No. 1" magmom_total_mub_per_cell=0.00 energy_ev_per_atom=-6.7109 pbc="T T T"
Na 1.247 7.942 5.730
Na 1.666 2.942 5.655
Na -2.825 4.995 5.646
Na 2.981 5.076 16.736
Na 7.495 2.882 16.831
Na 3.482 0.089 16.786
Na 1.255 2.624 13.109
Na -2.872 5.667 13.091
Na 1.727 7.702 13.219
Na -1.733 7.691 1.889
Na 3.017 5.570 1.922
Na -1.259 2.652 2.024
Na 5.926 5.395 20.714
Na 6.254 0.282 20.507
Na 1.755 2.386 20.602
Na 7.509 2.397 9.293
Na 2.912 0.259 9.409
Na 3.411 5.319 9.354
Na -4.516 7.940 11.214
Na -4.525 7.906 0.063
Na 4.651 2.591 18.682
Na 4.673 2.666 7.612
Na -0.051 5.272 3.826
Na 0.048 5.398 14.952
Y 4.632 7.978 18.979
Y 4.655 2.660 4.244
Y 4.664 2.718 22.237
Y -0.052 5.326 0.382
Y -0.031 5.361 11.585
Y 0.059 5.400 18.262
Ga 4.619 7.916 7.850
Ga 0.089 0.024 14.582
Ga 0.026 0.009 3.482
Ga 4.660 2.607 15.294
Ga 4.624 2.699 10.937
Ga -0.079 5.184 7.173
Si -1.218 2.290 5.702
Si 6.515 0.113 16.686
Si 3.244 0.426 13.140
Si 5.952 5.195 1.999
Si -1.371 7.810 20.584
Si -2.798 5.316 9.316
P -1.944 7.880 5.693
P 3.208 5.711 5.700
P 1.473 2.371 16.705
P 5.940 5.554 16.715
P 7.262 2.617 13.141
P 3.370 4.956 13.159
P 6.097 0.231 1.960
P 1.770 2.577 1.967
P 2.849 5.312 20.594
P -1.339 2.913 20.572
P 1.405 7.673 9.291
P 1.398 2.927 9.312
O 1.756 0.155 6.925
O 3.891 6.343 6.928
O 8.251 1.341 7.014
O 1.302 1.573 18.016
O 5.356 6.113 18.030
O 7.282 0.388 18.102
O 3.007 7.800 15.472
O 0.795 1.630 15.523
O -3.499 6.534 15.516
O 3.471 6.552 4.418
O -0.577 1.621 4.337
O -2.790 7.668 4.407
O 6.382 2.889 14.387
O 3.936 1.106 14.447
O 3.652 4.077 14.405
O 5.709 4.182 3.252
O 5.378 0.884 3.169
O 2.697 2.796 3.186
O 2.612 2.360 0.688
O 5.267 4.602 0.628
O 5.848 1.069 0.688
O 3.504 1.361 11.786
O 3.983 4.318 11.871
O 6.377 2.415 11.868
O 1.993 5.486 21.865
O -0.727 3.560 21.832
O -1.102 6.911 21.919
O 1.244 6.827 10.575
O 0.755 3.520 10.583
O -1.937 5.690 10.652
O -1.780 4.984 8.044
O 0.707 6.952 8.083
O 1.143 3.890 8.094
O -1.034 3.755 19.308
O -0.725 7.098 19.253
O 1.954 5.124 19.342
O -3.759 6.653 9.104
O 2.947 7.842 9.154
O 0.767 1.513 9.153
O -0.711 1.502 20.509
O -3.000 7.925 20.536
O 3.707 6.597 20.503
O 8.149 1.338 13.238
O 1.572 0.262 13.261
O 4.020 6.376 13.247
O 5.225 6.659 2.183
O 7.630 0.165 2.120
O 0.896 1.306 2.081
O 5.558 1.464 16.592
O 3.012 2.565 16.586
O 5.262 4.162 16.563
O 3.810 4.272 5.623
O 6.327 2.458 5.695
O 3.541 1.209 5.620
O 3.746 4.072 20.649
O 6.319 2.815 20.683
O 3.939 1.326 20.638
O 5.318 1.131 9.430
O 2.955 2.817 9.418
O 5.471 3.928 9.541
O 0.885 3.841 1.873
O -1.604 5.322 1.933
O 0.917 6.751 1.861
O -0.669 6.872 13.094
O 1.822 5.087 13.076
O -0.996 3.862 13.038
O -1.015 6.620 5.800
O 1.651 5.597 5.822
O -0.515 3.815 5.791
O 0.780 3.759 16.767
O -1.706 5.380 16.765
O 0.997 6.696 16.690

126
Lattice="9.091 0.048 -0.047 -4.504 7.897 0.047 -0.120 0.069 22.358" Properties=species:S:1:pos:R:3 comment="Na4ZrGaSi2PO12 PBE-GGA optimized geometry" e_form_ev_per_atom=-2.8317 magmom_total_mub_per_cell=0.00 energy_ev_per_atom=-6.8441 pbc="T T T"
Na 5.752 0.094 5.553
Na 1.691 2.930 5.501
Na 6.158 5.007 5.560
Na 2.835 5.051 16.680
Na 7.322 2.952 16.732
Na 3.271 0.144 16.739
Na 1.181 2.733 13.037
Na -2.881 5.570 12.985
Na 1.587 7.646 13.044
Na -1.617 7.621 1.806
Na 2.871 5.522 1.858
Na -1.181 2.714 1.865
Na 5.700 5.421 20.474
Na 6.142 0.360 20.375
Na 1.519 2.388 20.481
Na 7.406 2.412 9.196
Na 2.803 0.264 9.295
Na 3.339 5.402 9.302
Na 4.539 7.933 11.098
Na -0.073 0.083 22.277
Na 4.471 2.675 18.535
Na 4.566 2.702 7.356
Na 0.019 5.245 3.661
Na -0.005 5.341 14.840
Zr 4.497 7.990 14.497
Zr -0.024 0.022 3.318
Zr 4.429 2.732 21.934
Zr 4.495 2.709 10.755
Zr -0.023 5.303 7.060
Zr -0.076 5.349 18.239
Ga 4.446 7.874 7.827
Ga -0.069 0.193 19.006
Ga 4.378 2.616 15.264
Ga 4.570 2.812 4.085
Ga -0.074 5.187 0.390
Ga -0.001 5.451 11.569
Si 3.238 5.594 5.606
Si 7.695 2.354 5.585
Si 1.302 2.379 16.785
Si 6.337 0.139 16.764
Si 3.170 0.336 13.043
Si 3.124 4.993 13.069
Si 5.941 4.998 1.864
Si 1.885 2.709 1.890
Si -1.402 2.976 20.527
Si -1.448 7.632 20.553
Si 1.369 7.637 9.348
Si -2.686 5.349 9.374
P 2.623 0.076 5.624
P 5.773 5.671 16.803
P 7.143 2.764 13.061
P 5.825 0.343 1.882
P 2.571 5.403 20.545
P 1.254 2.983 9.366
O 1.719 0.293 6.862
O 3.945 6.278 6.911
O 7.984 1.408 6.894
O 1.063 1.425 18.090
O 5.133 6.345 18.041
O 7.300 0.362 18.073
O 2.751 7.720 15.485
O 0.581 1.706 15.471
O -3.508 6.511 15.585
O 3.460 6.555 4.292
O -0.663 1.669 4.306
O -2.745 7.694 4.406
O 6.239 2.981 14.299
O 3.877 1.020 14.348
O 3.413 4.048 14.378
O 5.702 4.044 3.169
O 5.185 1.018 3.120
O 2.848 2.932 3.199
O 2.803 2.392 0.564
O 5.220 4.325 0.550
O 5.635 1.232 0.617
O 3.392 1.297 11.729
O 3.857 4.357 11.743
O 6.278 2.484 11.796
O 1.667 5.620 21.783
O -0.695 3.659 21.832
O -1.159 6.687 21.862
O 1.131 6.683 10.653
O 0.614 3.657 10.604
O -1.723 5.571 10.683
O -1.769 5.032 8.048
O 0.649 6.964 8.034
O 1.063 3.872 8.101
O -1.179 3.936 19.213
O -0.715 6.996 19.227
O 1.706 5.124 19.280
O -3.591 6.714 9.222
O 2.995 7.805 9.217
O 0.647 1.585 9.212
O -0.734 1.484 20.396
O -3.082 7.734 20.401
O 3.478 6.627 20.391
O 8.016 1.471 13.127
O 1.530 0.203 13.139
O 3.811 6.494 13.153
O 5.237 6.484 1.960
O 7.381 0.234 1.948
O 0.929 1.364 1.974
O 5.432 1.504 16.612
O 2.927 2.547 16.654
O 5.166 4.273 16.649
O 3.905 4.103 5.475
O 6.061 2.455 5.433
O 3.530 1.300 5.470
O 3.444 4.111 20.611
O 6.050 2.891 20.576
O 3.743 1.236 20.590
O 5.169 1.226 9.397
O 2.809 2.873 9.432
O 5.449 4.052 9.411
O 0.980 4.074 1.738
O -1.525 5.117 1.780
O 0.715 6.843 1.775
O -0.667 6.742 12.959
O 1.489 5.094 12.917
O -1.041 3.940 12.954
O -1.007 6.681 5.737
O 1.598 5.461 5.702
O -0.709 3.806 5.716
O 0.597 3.866 16.881
O -1.762 5.512 16.916
O 0.877 6.691 16.895

123
Lattice="-4.468 7.350 -2.870 -3.668 -8.186 -1.003 -9.763 1.752 20.071" Properties=species:S:1:pos:R:3 comment="Na7Zr2Ga2Si3P3O24 PBE-GGA optimized geometry" e_form_ev_per_atom=-2.8387 sg="P1, No. 1" magmom_total_mub_per_cell=0.00 energy_ev_per_atom=-6.9164 pbc="T T T"
Na -5.300 5.071 3.234
Na -5.415 0.105 3.553
Na -9.207 2.643 1.513
Na -12.465 0.774 12.608
Na -13.111 5.633 11.837
Na -8.980 4.038 13.957
Na -8.405 -4.441 10.921
Na -12.221 -2.044 8.830
Na -6.318 -0.631 -0.953
Na -2.210 -2.362 1.286
Na -15.695 3.234 15.005
Na -12.210 6.488 16.337
Na -11.574 1.630 17.136
Na -9.485 5.349 5.259
Na -5.680 2.964 7.396
Na -8.552 -7.299 9.038
Na -13.437 -6.339 19.011
Na -12.339 3.632 14.480
Na -7.495 2.734 4.391
Na -5.557 -2.772 1.770
Na -10.434 -1.795 11.783
Zr -11.503 -0.255 3.230
Zr -6.379 1.103 13.017
Zr -1.487 0.293 2.893
Zr -8.881 3.010 7.382
Zr -4.148 -2.985 -1.243
Zr -9.015 -2.086 8.820
Ga -16.362 0.606 13.195
Ga -10.831 3.478 11.449
Ga -6.009 2.519 1.354
Ga -13.838 3.767 17.524
Ga -6.993 -2.472 4.790
Ga -11.987 -1.535 14.761
Si -8.021 5.282 1.824
Si -14.144 -1.718 12.090
Si -11.230 5.328 8.680
Si -7.545 3.416 10.633
Si -7.338 2.080 -1.691
Si -3.742 0.261 0.238
Si -14.199 0.793 15.867
Si -10.311 -2.511 5.570
Si -6.679 -4.423 7.521
P -3.804 2.646 4.171
P -8.108 -0.157 2.280
P -9.767 1.063 14.007
P -9.940 -4.438 14.410
P -10.985 0.864 9.278
P -3.968 4.615 -0.290
P -10.469 -1.147 17.847
P -13.929 -3.829 16.403
P -6.916 0.083 6.942
O -4.079 1.880 5.495
O -9.509 0.104 2.918
O -7.975 6.162 3.213
O -9.492 1.524 15.466
O -15.133 2.074 12.632
O -11.757 7.183 13.830
O -13.808 -0.877 10.711
O -8.386 0.823 13.319
O -9.960 -5.219 13.062
O -8.370 -0.574 0.804
O -2.803 -1.157 3.540
O -6.275 -6.271 2.477
O -11.571 4.508 10.050
O -8.963 3.700 11.386
O -11.048 1.666 10.596
O -7.156 2.566 -0.146
O -4.693 3.906 0.859
O -4.974 0.932 1.070
O -3.369 0.960 -1.180
O -5.943 1.802 -2.497
O -3.963 3.844 -1.639
O -7.713 3.017 9.059
O -10.276 1.646 8.151
O -10.005 4.633 7.836
O -14.533 -0.046 17.251
O -11.835 -0.911 18.576
O -13.869 -3.014 17.727
O -10.164 -2.109 7.143
O -7.609 -0.715 8.065
O -7.894 -3.711 8.371
O -6.341 -3.610 6.151
O -8.884 -2.771 4.827
O -6.859 -0.694 5.620
O -10.750 -1.604 16.387
O -13.213 -3.018 15.287
O -12.924 0.075 15.127
O -7.276 -5.927 7.289
O -11.300 -1.360 4.933
O -5.493 0.372 7.514
O -9.737 0.222 17.970
O -13.235 -5.179 16.741
O -15.634 0.768 15.035
O -10.641 6.840 8.903
O -6.565 2.292 11.309
O -12.405 0.590 8.690
O -8.114 0.630 -1.799
O -4.659 5.986 -0.628
O -2.300 0.120 1.036
O -10.986 4.914 12.831
O -10.569 2.192 13.318
O -12.965 3.131 12.069
O -7.357 1.179 2.438
O -7.214 3.900 2.211
O -5.109 2.589 3.358
O -13.691 2.349 16.116
O -14.111 5.078 15.650
O -11.714 4.143 16.904
O -7.451 4.240 6.405
O -7.567 1.446 6.640
O -9.734 2.955 5.463
O -4.242 -1.319 0.027
O -3.724 -4.030 0.513
O -6.222 -3.210 -0.763
O -10.431 -3.316 9.782
O -10.343 -0.505 9.573
O -8.174 -2.042 10.744
O -6.975 -4.090 3.359
O -7.358 -1.334 2.932
O -5.081 -2.288 4.121
O -10.488 -0.307 13.869
O -10.638 -3.088 14.085
O -12.712 -1.691 12.921